Below is a relaxed DyGeIr crystal, with properties calculated at the r2SCAN level.

Cell: 6.8662 4.2876 7.5695 Å, 90.00 90.00 90.00°
Element x y z (fractional)
Dy1 0.0031 0.2500 0.1925
Dy2 0.4969 0.7500 0.6925
Dy3 0.5031 0.2500 0.3075
Dy4 0.9969 0.7500 0.8075
Ge1 0.2070 0.7500 0.3905
Ge2 0.2930 0.2500 0.8905
Ge3 0.7070 0.7500 0.1095
Ge4 0.7930 0.2500 0.6095
Ir1 0.1601 0.2500 0.5660
Ir2 0.3399 0.7500 0.0660
Ir3 0.6601 0.2500 0.9340
Ir4 0.8399 0.7500 0.4340

Results
Its formation energy is -1.052 eV per atom. For the total magnetization, the calculation gives 0.00 Bohr magnetons per cell. For the energy, the calculation gives -33.7893 eV/atom.